Crystalline VH3O4 at its relaxed geometry, computed with PBE+U.

Raw total energy   -47.064 eV per formula unit
Formation enthalpy at 0 K   -1.56 eV per atom

Unit cell a=7.419 b=7.419 c=10.546 alpha=90.00 beta=90.00 gamma=90.00
Space group I4_1md (No. 109)
Asymmetric unit:
V 0.000 0.250 0.000 (multiplicity 8)
H 0.000 0.000 0.160 (multiplicity 4)
H 0.000 0.000 0.590 (multiplicity 4)
H 0.206 0.216 0.380 (multiplicity 16)
O 0.000 0.000 0.067 (multiplicity 4)
O 0.000 0.000 0.683 (multiplicity 4)
O 0.000 0.091 0.382 (multiplicity 8)
O 0.193 0.306 0.126 (multiplicity 16)